The following is a DFT calculation (GGA-PBE) of a relaxed structure of LaSiI.

Cell: 4.2161 4.2161 12.1648 Å, 90.00 90.00 120.00°
Space group P-3m1 (No. 164)
Symmetry-distinct sites (fractional):
La1 0.0000 0.0000 0.1705 (multiplicity 2)
Si1 0.3333 0.6667 0.0067 (multiplicity 2)
I1 0.3333 0.6667 0.6493 (multiplicity 2)

***

The following is a DFT calculation (GGA-PBE) of a relaxed structure of La4Si4I3.

Cell: 24.626 4.262 12.678 Å, 90.00 97.63 90.00°
Space group C2/m (No. 12)
Symmetry-distinct sites (fractional):
La1 0.003 0.000 0.165 (multiplicity 4)
La2 0.074 0.500 0.446 (multiplicity 4)
La3 0.138 0.000 0.709 (multiplicity 4)
La4 0.144 0.000 0.023 (multiplicity 4)
Si1 0.023 0.000 0.591 (multiplicity 4)
Si2 0.043 0.500 0.683 (multiplicity 4)
Si3 0.050 0.500 0.016 (multiplicity 4)
Si4 0.096 0.500 0.860 (multiplicity 4)
I1 0.132 0.000 0.288 (multiplicity 4)
I2 0.200 0.500 0.573 (multiplicity 4)
I3 0.243 0.500 0.130 (multiplicity 4)

***

The following is a DFT calculation (GGA-PBE) of a relaxed structure of La3SiI3.

Cell: 12.704 12.704 12.704 Å, 90.00 90.00 90.00°
Space group I4_132 (No. 214)
Symmetry-distinct sites (fractional):
La1 0.109 0.359 0.125 (multiplicity 24)
Si1 0.125 0.125 0.125 (multiplicity 8)
I1 0.116 0.134 0.625 (multiplicity 24)

***

The following is a DFT calculation (GGA-PBE) of a relaxed structure of La5Sn3I.

Cell: 9.7875 9.7875 7.1413 Å, 90.00 90.00 120.00°
Space group P6_3/mcm (No. 193)
Symmetry-distinct sites (fractional):
La1 0.0000 0.2772 0.2500 (multiplicity 6)
La2 0.3333 0.6667 0.0000 (multiplicity 4)
Sn1 0.0000 0.3860 0.7500 (multiplicity 6)
I1 0.0000 0.0000 0.0000 (multiplicity 2)

***

Number 1: energy of formation -1268 meV/atom, theoretical density 5.21 Mg/m³. Number 2: energy of formation -1186 meV/atom, theoretical density 5.28 Mg/m³. Number 3: energy of formation -1427 meV/atom, theoretical density 5.35 Mg/m³. Number 4: energy of formation -911 meV/atom, theoretical density 6.60 Mg/m³.